[1]
DFT (GGA-PBE) results for a geometry-optimized Cs structure.

```
1
Lattice="-2.6850 2.6850 4.0212 2.6850 -2.6850 4.0212 2.6850 2.6850 -4.0212" Properties=species:S:1:pos:R:3 pbc="T T T"
Cs 0.0000 0.0000 0.0000
```

Properties
* SG: No. 139
* DFT total energy: -0.858 eV/atom
* calculated formation energy: 0.037 eV/atom
* V: 116.0 Å³ per atom

[2]
DFT (GGA-PBE) results for a geometry-optimized NaEuP2H4CO7 structure.

```
64
Lattice="6.8780 0.0000 0.0000 0.0000 15.4492 0.0000 -0.1524 0.0000 6.8447" Properties=species:S:1:pos:R:3 pbc="T T T"
Na 1.3184 0.4128 0.9268
Na 1.2422 7.3118 4.3491
Na 5.4834 8.1374 2.4955
Na 5.4073 15.0364 5.9179
Eu 2.2356 9.2671 0.6898
Eu 2.1594 13.9067 4.1121
Eu 4.5663 1.5425 2.7326
Eu 4.4901 6.1821 6.1549
P 1.1376 1.4783 4.3358
P 1.2138 6.2463 0.9134
P 3.1546 10.2005 4.1520
P 3.2308 12.9733 0.7296
P 3.4948 2.4759 6.1151
P 3.5710 5.2487 2.6927
P 5.5118 9.2029 5.9313
P 5.5880 13.9709 2.5089
H 0.0089 2.8414 1.7538
H -0.0672 4.8832 5.1762
H 0.8112 10.9796 2.9089
H 0.7351 12.1942 6.3312
H 1.1665 3.1141 6.0799
H 1.2427 4.6105 2.6576
H 2.0543 3.6828 4.6474
H 2.1305 4.0418 1.2250
H 4.5952 11.4074 5.6197
H 4.6714 11.7664 2.1973
H 5.4830 10.8387 4.1871
H 5.5592 12.3351 0.7648
H 5.9906 3.2550 0.5135
H 5.9144 4.4696 3.9358
H 6.7929 10.5660 1.6685
H 6.7167 12.6078 5.0908
C 1.8940 2.8194 5.3075
C 1.9701 4.9052 1.8851
C 4.7555 10.5440 4.9595
C 4.8317 12.6298 1.5372
O -0.1348 9.8002 6.6257
O -0.0587 13.3736 3.2034
O 0.4196 10.2116 2.4302
O 0.3434 12.9622 5.8525
O 0.8301 0.2986 5.2886
O 0.9063 7.4260 1.8662
O 2.1614 0.9488 3.2780
O 2.0852 6.7758 6.7003
O 2.3349 9.3045 5.0942
O 2.4111 13.8693 1.6719
O 2.4779 11.5717 3.9087
O 2.5541 11.6021 0.4863
O 3.3599 1.7620 0.6124
O 3.2837 5.9626 4.0348
O 3.4420 9.4865 2.8099
O 3.3658 13.6872 6.2322
O 4.1716 3.8471 6.3583
O 4.2478 3.8775 2.9360
O 4.3145 1.5799 5.1728
O 4.3907 6.1447 1.7504
O 4.6404 8.6734 0.1444
O 4.5642 14.5004 3.5667
O 5.8194 8.0232 4.9785
O 5.8955 15.1506 1.5561
O 6.3822 2.4870 0.9922
O 6.3060 5.2376 4.4145
O 6.7843 2.0756 3.6413
O 6.8605 5.6490 0.2189
```

Properties
* SG: No. 14
* DFT total energy: -6.707 eV/atom
* calculated formation energy: -2.018 eV/atom
* V: 11.4 Å³ per atom
* MP2020-corrected energy: -7.0078 eV per atom

[3]
DFT (GGA-PBE) results for a geometry-optimized Mg14AlNi structure.

```
16
Lattice="6.2342 0.0000 0.0000 -3.1171 5.3990 0.0000 0.0000 0.0000 9.9612" Properties=species:S:1:pos:R:3 pbc="T T T"
Mg 0.0000 0.0000 2.4704
Mg 0.0000 0.0000 7.4907
Mg -1.4951 2.7361 2.5813
Mg -1.4951 2.7361 7.3799
Mg 1.5351 0.8863 4.9806
Mg 1.5612 0.9014 0.0000
Mg 1.4951 2.7361 2.5813
Mg 1.4951 2.7361 7.3799
Mg 0.0000 5.3258 2.5813
Mg 0.0000 5.3258 7.3799
Mg 4.6730 0.9014 0.0000
Mg 3.1171 3.5963 0.0000
Mg 4.6991 0.8863 4.9806
Mg 3.1171 3.6264 4.9806
Al 0.0000 3.5993 0.0000
Ni 0.0000 3.5993 4.9806
```

Properties
* SG: No. 187
* DFT total energy: -1.975 eV/atom
* calculated formation energy: 0.021 eV/atom
* V: 21.0 Å³ per atom